No. 1
Na4CaNbSi2PO12 (PBE, optimized geometry); DFT formation energy = -2.82 eV per atom; E (MP2020) = -7.255 eV/atom
1.0
-5.6139 -6.6004 3.5454
8.5317 -2.3137 -3.0836
8.3320 3.7911 20.5353
Na Ca Nb Si P O
24 6 6 12 6 72
direct
0.6520 0.0194 0.2483
0.3740 0.3607 0.2421
0.9738 0.6205 0.2439
0.6393 0.6260 0.7421
0.9806 0.3480 0.7483
0.3795 0.0262 0.7439
0.3186 0.3527 0.5816
0.0406 0.6940 0.5754
0.6405 0.9539 0.5773
0.3060 0.9594 0.0754
0.6473 0.6814 0.0816
0.0461 0.3595 0.0773
0.9853 0.6861 0.9149
0.7073 0.0274 0.9087
0.3072 0.2872 0.9106
0.9726 0.2927 0.4087
0.3139 0.0147 0.4149
0.7128 0.6928 0.4106
0.9898 0.9901 0.4936
0.0099 0.0102 0.9936
0.6565 0.3235 0.8269
0.6765 0.3435 0.3269
0.3231 0.6568 0.1603
0.3432 0.6769 0.6603
0.9988 0.9991 0.3487
0.0009 0.0012 0.8487
0.6655 0.3325 0.6821
0.6675 0.3345 0.1821
0.3322 0.6658 0.0154
0.3342 0.6678 0.5154
0.9989 0.0010 0.6484
0.9990 0.0011 0.1484
0.6656 0.3343 0.9817
0.6657 0.3344 0.4817
0.3323 0.6676 0.3151
0.3324 0.6677 0.8151
0.6952 0.7031 0.2530
0.0080 0.3045 0.2534
0.2969 0.3048 0.7530
0.6955 0.9920 0.7534
0.3618 0.0365 0.5863
0.6747 0.6378 0.5867
0.9635 0.6382 0.0863
0.3622 0.3253 0.0867
0.0285 0.3698 0.9196
0.3414 0.9712 0.9200
0.6302 0.9715 0.4196
0.0288 0.6586 0.4200
0.2909 0.9876 0.2508
0.0124 0.7091 0.7508
0.9576 0.3210 0.5842
0.6790 0.0424 0.0842
0.6243 0.6543 0.9175
0.3457 0.3757 0.4175
0.2240 0.0168 0.3082
0.7999 0.7775 0.3116
0.9888 0.2068 0.3127
0.2225 0.2001 0.8116
0.9832 0.7760 0.8082
0.7932 0.0112 0.8127
0.8065 0.9710 0.6948
0.1637 0.1934 0.6948
0.0306 0.8290 0.6965
0.8066 0.8363 0.1948
0.0290 0.1935 0.1948
0.1710 0.9694 0.1965
0.8907 0.3502 0.6415
0.4666 0.1109 0.6449
0.6554 0.5401 0.6460
0.8891 0.5334 0.1449
0.6498 0.1093 0.1415
0.4599 0.3446 0.1460
0.4732 0.3043 0.0282
0.8304 0.5268 0.0282
0.6973 0.1624 0.0298
0.4732 0.1696 0.5282
0.6957 0.5268 0.5282
0.8376 0.3027 0.5298
0.5574 0.6835 0.9748
0.1333 0.4442 0.9783
0.3221 0.8734 0.9794
0.5558 0.8667 0.4783
0.3165 0.4426 0.4748
0.1266 0.6779 0.4794
0.1398 0.6376 0.3615
0.4970 0.8601 0.3615
0.3639 0.4957 0.3631
0.1399 0.5030 0.8615
0.3624 0.8602 0.8615
0.5043 0.6361 0.8631
0.0035 0.8157 0.4140
0.8168 0.0086 0.4135
0.2068 0.1998 0.4088
0.9914 0.1832 0.9135
0.1843 0.9965 0.9140
0.8002 0.7932 0.9088
0.9547 0.1498 0.5861
0.1828 0.0403 0.5887
0.8544 0.8191 0.5882
0.9597 0.8172 0.0887
0.8502 0.0453 0.0861
0.1809 0.1456 0.0882
0.6702 0.1491 0.7473
0.4834 0.3420 0.7468
0.8734 0.5332 0.7421
0.6580 0.5166 0.2468
0.8509 0.3298 0.2473
0.4668 0.1266 0.2421
0.6214 0.4831 0.9194
0.8495 0.3736 0.9220
0.5211 0.1524 0.9215
0.6264 0.1505 0.4220
0.5169 0.3786 0.4194
0.8476 0.4789 0.4215
0.3368 0.4824 0.0807
0.1501 0.6753 0.0801
0.5401 0.8665 0.0754
0.3247 0.8499 0.5801
0.5176 0.6632 0.5807
0.1335 0.4599 0.5754
0.2881 0.8164 0.2528
0.5162 0.7070 0.2554
0.1877 0.4857 0.2548
0.2930 0.4838 0.7554
0.1836 0.7119 0.7528
0.5143 0.8123 0.7548

---

No. 2
Eu3IrO7 (PBE, optimized geometry); DFT formation energy = -2.62 eV per atom; E (MP2020) = -9.367 eV/atom
1.0
3.7414 -5.4295 0.0000
3.7414 5.4295 0.0000
0.0000 0.0000 7.5425
Eu Ir O
6 2 14
direct
0.0000 0.0000 0.0000
0.0000 0.0000 0.5000
0.4779 0.9357 0.7500
0.5221 0.0643 0.2500
0.9357 0.4779 0.7500
0.0643 0.5221 0.2500
0.5000 0.5000 0.0000
0.5000 0.5000 0.5000
0.5884 0.5884 0.7500
0.4116 0.4116 0.2500
0.8428 0.1082 0.7500
0.1572 0.8918 0.2500
0.1082 0.8428 0.7500
0.8918 0.1572 0.2500
0.4417 0.1904 0.9607
0.5583 0.8096 0.4607
0.1904 0.4417 0.9607
0.8096 0.5583 0.4607
0.4417 0.1904 0.5393
0.5583 0.8096 0.0393
0.8096 0.5583 0.0393
0.1904 0.4417 0.5393

---

No. 3
LaSO (PBE, optimized geometry); DFT formation energy = -3.05 eV per atom; E (MP2020) = -7.725 eV/atom
1.0
5.9464 0.0000 0.0000
0.0000 5.9504 0.0000
0.0000 0.0000 13.3315
La S O
8 8 8
direct
0.4985 0.2501 0.0889
0.5015 0.7499 0.5889
0.0015 0.2501 0.9111
0.0015 0.2501 0.5889
0.4985 0.2501 0.4111
0.5015 0.7499 0.9111
0.9985 0.7499 0.4111
0.9985 0.7499 0.0889
0.8818 0.6255 0.7500
0.1328 0.8761 0.7500
0.6182 0.6255 0.2500
0.3672 0.8761 0.2500
0.6328 0.1239 0.7500
0.8672 0.1239 0.2500
0.1182 0.3745 0.2500
0.3818 0.3745 0.7500
0.2500 0.0049 0.0000
0.7500 0.9951 0.5000
0.2500 0.0049 0.5000
0.7500 0.4944 0.0000
0.2500 0.5056 0.5000
0.7500 0.4944 0.5000
0.7500 0.9951 0.0000
0.2500 0.5056 0.0000

---

No. 4
Tb3NdFe34 (PBE, optimized geometry); DFT formation energy = 0.01 eV per atom
1.0
-3.9537 1.3045 4.9065
2.5919 -4.1146 4.2141
7.6355 8.4601 5.9687
Tb Nd Fe
3 1 34
direct
0.6584 0.6584 0.8291
0.3410 0.3410 0.1706
0.3417 0.3417 0.6707
0.6578 0.6578 0.3290
0.9037 0.9037 0.4520
0.9032 0.9032 0.9515
0.0970 0.0970 0.0482
0.0969 0.0969 0.5486
0.0006 0.0006 0.2498
0.0001 0.0001 0.7500
0.0006 0.4996 0.5005
0.0000 0.5000 0.9999
0.5000 0.0000 0.9999
0.4996 0.0006 0.5005
0.8456 0.3423 0.1711
0.8450 0.3433 0.6718
0.3423 0.3423 0.4228
0.3434 0.3434 0.9224
0.3423 0.8456 0.1711
0.3433 0.8450 0.6718
0.1551 0.6568 0.3284
0.1550 0.6567 0.8282
0.6566 0.6566 0.0768
0.6568 0.6568 0.5784
0.6568 0.1551 0.3284
0.6567 0.1550 0.8282
0.2921 0.7071 0.5007
0.2937 0.7064 0.9998
0.7070 0.0010 0.1460
0.7064 0.9999 0.6469
0.0009 0.2922 0.3535
0.0001 0.2936 0.8531
0.2922 0.0009 0.3535
0.2936 0.0001 0.8531
0.0010 0.7070 0.1460
0.9999 0.7064 0.6469
0.7071 0.2921 0.5007
0.7064 0.2937 0.9998

---

No. 5
CuBi5S8 (PBE, optimized geometry); DFT formation energy = -0.60 eV per atom; E (MP2020) = -4.650 eV/atom
1.0
2.0316 6.6731 0.0000
-2.0316 6.6731 0.0000
0.0000 5.9741 12.9073
Cu Bi S
1 5 8
direct
0.6941 0.3059 0.5000
0.3463 0.3415 0.8468
0.6585 0.6537 0.1532
0.7251 0.7039 0.6356
0.2961 0.2749 0.3644
0.0007 0.9993 0.0000
0.6613 0.6637 0.9284
0.3363 0.3387 0.0716
0.9930 0.9928 0.8039
0.0072 0.0070 0.1961
0.3585 0.3540 0.6532
0.6460 0.6415 0.3468
0.1045 0.1467 0.5493
0.8533 0.8955 0.4507

---

No. 6
TiAlO3 (PBE, optimized geometry); DFT formation energy = -2.37 eV per atom; E (MP2020) = -7.666 eV/atom
1.0
3.8608 0.0000 0.0000
0.0000 3.8608 0.0000
0.0000 0.0000 3.8608
Ti Al O
1 1 3
direct
0.0000 0.0000 0.0000
0.5000 0.5000 0.5000
0.0000 0.0000 0.5000
0.0000 0.5000 0.0000
0.5000 0.0000 0.0000

---

No. 7
Ta2Ni3Te5 (PBE, optimized geometry); DFT formation energy = -0.60 eV per atom; E (MP2020) = -6.274 eV/atom
1.0
-0.8488 -3.0520 -1.9632
11.4115 -6.6730 5.4400
-9.9252 -5.9430 13.5302
Ta Ni Te
8 12 20
direct
0.2500 0.7440 0.9111
0.7500 0.2560 0.0889
0.7500 0.7560 0.4111
0.2500 0.2440 0.5889
0.2500 0.7420 0.1672
0.7500 0.2580 0.8328
0.7500 0.7580 0.6672
0.2500 0.2420 0.3328
0.2500 0.7005 0.7676
0.7500 0.2995 0.2324
0.7500 0.7995 0.2676
0.2500 0.2005 0.7324
0.2500 0.7436 0.5389
0.7500 0.2564 0.4611
0.7500 0.7564 0.0389
0.2500 0.2436 0.9611
0.2500 0.6959 0.3108
0.7500 0.3041 0.6892
0.7500 0.8041 0.8108
0.2500 0.1959 0.1892
0.2500 0.1136 0.0591
0.7500 0.8864 0.9409
0.7500 0.3864 0.5591
0.2500 0.6136 0.4409
0.2500 0.6320 0.0386
0.7500 0.3680 0.9614
0.7500 0.8680 0.5386
0.2500 0.1320 0.4614
0.2500 0.8855 0.3416
0.7500 0.1145 0.6584
0.7500 0.6145 0.8416
0.2500 0.3855 0.1584
0.2500 0.8885 0.7359
0.7500 0.1115 0.2641
0.7500 0.6115 0.2359
0.2500 0.3885 0.7641
0.2500 0.6158 0.6386
0.7500 0.3842 0.3614
0.7500 0.8842 0.1386
0.2500 0.1158 0.8614

---

No. 8
Al3P8NO36 (PBE, optimized geometry); DFT formation energy = -1.44 eV per atom; E (MP2020) = -6.458 eV/atom
1.0
4.8791 8.6493 0.0000
-4.8791 8.6493 0.0000
0.0000 0.4640 17.6652
Al P N O
6 16 2 72
direct
0.2331 0.1928 0.2662
0.7669 0.8072 0.7338
0.8072 0.7669 0.2338
0.1928 0.2331 0.7662
0.6730 0.3270 0.2500
0.3270 0.6730 0.7500
0.8657 0.0138 0.1406
0.1343 0.9862 0.8594
0.9862 0.1343 0.3594
0.0138 0.8657 0.6406
0.5854 0.6522 0.3325
0.4146 0.3478 0.6675
0.3478 0.4146 0.1675
0.6522 0.5854 0.8325
0.4600 0.9102 0.1509
0.5400 0.0898 0.8491
0.0898 0.5400 0.3491
0.9102 0.4600 0.6509
0.5741 0.0943 0.3182
0.4259 0.9057 0.6818
0.9057 0.4259 0.1818
0.0943 0.5741 0.8182
0.2325 0.7675 0.2500
0.7675 0.2325 0.7500
0.2959 0.0986 0.5198
0.7041 0.9014 0.4802
0.9014 0.7041 0.9802
0.0986 0.2959 0.0198
0.3365 0.2825 0.2038
0.6635 0.7175 0.7962
0.7175 0.6635 0.2962
0.2825 0.3365 0.7038
0.5791 0.2419 0.3196
0.4209 0.7581 0.6804
0.7581 0.4209 0.1804
0.2419 0.5791 0.8196
0.5199 0.2585 0.0330
0.4801 0.7415 0.9670
0.7415 0.4801 0.4670
0.2585 0.5199 0.5330
0.1434 0.1070 0.3295
0.8566 0.8930 0.6705
0.8930 0.8566 0.1705
0.1070 0.1434 0.8295
0.6206 0.8694 0.1806
0.3794 0.1306 0.8194
0.1306 0.3794 0.3194
0.8694 0.6206 0.6806
0.8034 0.0350 0.0560
0.1966 0.9650 0.9440
0.9650 0.1966 0.4440
0.0350 0.8034 0.5560
0.4251 0.9899 0.0714
0.5749 0.0101 0.9286
0.0101 0.5749 0.4286
0.9899 0.4251 0.5714
0.6276 0.0391 0.4582
0.3724 0.9609 0.5418
0.9609 0.3724 0.0418
0.0391 0.6276 0.9582
0.4209 0.1026 0.3288
0.5791 0.8974 0.6712
0.8974 0.5791 0.1712
0.1026 0.4209 0.8288
0.4864 0.4254 0.1906
0.5136 0.5746 0.8094
0.5746 0.5136 0.3094
0.4254 0.4864 0.6906
0.6488 0.2434 0.0323
0.3512 0.7566 0.9677
0.7566 0.3512 0.4677
0.2434 0.6488 0.5323
0.3292 0.0152 0.2071
0.6708 0.9848 0.7929
0.9848 0.6708 0.2929
0.0152 0.3292 0.7071
0.7207 0.9418 0.3033
0.2793 0.0582 0.6967
0.0582 0.2793 0.1967
0.9418 0.7207 0.8033
0.4578 0.7607 0.1308
0.5422 0.2393 0.8692
0.2393 0.5422 0.3692
0.7607 0.4578 0.6308
0.4792 0.7626 0.3902
0.5208 0.2374 0.6098
0.2374 0.5208 0.1098
0.7626 0.4792 0.8902
0.0200 0.0099 0.1206
0.9800 0.9901 0.8794
0.9901 0.9800 0.3794
0.0099 0.0200 0.6206
0.7498 0.1504 0.1899
0.2502 0.8496 0.8101
0.8496 0.2502 0.3101
0.1504 0.7498 0.6899

---

No. 9
Cr2AgTe4 (PBE, optimized geometry); DFT formation energy = -0.45 eV per atom; E (MP2020) = -5.406 eV/atom
1.0
-4.3314 -3.2412 6.0901
-7.6102 -2.5792 -1.3373
-1.6608 -7.9747 0.0224
Cr Ag Te
4 2 8
direct
0.1250 0.1250 0.1250
0.6250 0.1250 0.1250
0.1250 0.1250 0.6250
0.1250 0.6250 0.1250
0.7500 0.7500 0.7500
0.5000 0.5000 0.5000
0.3360 0.8880 0.8880
0.3620 0.3620 0.3620
0.8880 0.8880 0.3360
0.8880 0.3360 0.8880
0.3620 0.3620 0.9140
0.3620 0.9140 0.3620
0.9140 0.3620 0.3620
0.8880 0.8880 0.8880